This record from the Materials Project describes a relaxed Ba2MgCoMoO6 crystal. The functional is GGA+U.

Results
formation enthalpy at 0 K	-24.8	eV/f.u.
E above lowest polymorph	88	meV/atom

Unit cell a=6.689 b=6.689 c=6.689 alpha=129.29 beta=128.52 gamma=75.17
Element x y z (fractional)
Ba 0.182 0.182 0.000
Ba 0.818 0.818 0.000
Mg 0.500 0.500 0.000
Co 0.500 0.000 0.500
Mo 0.000 0.500 0.500
O 0.189 0.689 0.500
O 0.265 0.247 0.513
O 0.265 0.753 0.018
O 0.735 0.247 0.982
O 0.735 0.753 0.487
O 0.811 0.311 0.500